No. 1
Here is an optimized crystal structure of SnC2S2N2 from Materials Project. Energies are from PBE.

Computed properties:
crystal system: triclinic

Unit cell a=5.0153 b=5.7403 c=10.4071 alpha=100.51 beta=96.65 gamma=93.01
With the nearest neighbours (Å) after each atom.
Space group P-1 (No. 2)
Unique sites:
Sn: 0.1718 0.1878 0.2439 [2 per cell]  2 N 2.23-2.30
C: 0.1857 0.3989 0.8714 [2 per cell]  1 N 1.18
C: 0.2030 0.7481 0.4997 [2 per cell]  1 N 1.18
S: 0.2642 0.1427 0.9040 [2 per cell]  1 C 1.63
S: 0.3756 0.7153 0.3763 [2 per cell]  1 C 1.62
N: 0.0843 0.7750 0.5926 [2 per cell]  1 C 1.18
N: 0.1379 0.5879 0.8485 [2 per cell]  1 C 1.18

No. 2
Here is an optimized crystal structure of ZnC2S2N2 from Materials Project. Energies are from PBE.

Computed properties:
crystal system: triclinic

Unit cell a=7.8131 b=7.8905 c=10.6457 alpha=73.96 beta=70.79 gamma=87.13
With the nearest neighbours (Å) after each atom.
Space group P-1 (No. 2)
Unique sites:
Zn: 0.1838 0.4019 0.3250 [2 per cell]  4 N 1.97-1.98
Zn: 0.2827 0.0651 0.8083 [2 per cell]  4 S 2.38-2.39
C: 0.0685 0.1124 0.6085 [2 per cell]  1 N 1.18
C: 0.1039 0.4197 0.8091 [2 per cell]  1 N 1.18
C: 0.3723 0.7067 0.3785 [2 per cell]  1 N 1.18
C: 0.4976 0.7436 0.8823 [2 per cell]  1 N 1.18
S: 0.0285 0.9716 0.7619 [2 per cell]  1 C 1.64
S: 0.2259 0.3128 0.9024 [2 per cell]  1 C 1.64
S: 0.3322 0.8271 0.9853 [2 per cell]  1 C 1.64
S: 0.4707 0.8678 0.4030 [2 per cell]  1 C 1.64
N: 0.0145 0.4976 0.7439 [2 per cell]  1 C 1.18
N: 0.0947 0.2103 0.4976 [2 per cell]  1 C 1.18
N: 0.2958 0.5911 0.3658 [2 per cell]  1 C 1.18
N: 0.3808 0.3182 0.1878 [2 per cell]  1 C 1.18

No. 3
Here is an optimized crystal structure of SbC6N9 from Materials Project. Energies are from PBE.

Computed properties:
crystal system: orthorhombic

Unit cell a=7.7521 b=11.8756 c=11.5420 alpha=90.00 beta=90.00 gamma=90.00
With the nearest neighbours (Å) after each atom.
Space group Cmcm (No. 63)
Unique sites:
Sb: 0.0000 0.1608 0.2500 [4 per cell]  5 N 2.31-2.32
C: 0.1457 0.0921 0.7500 [8 per cell]  1 N 1.17
C: 0.1501 0.3612 0.5866 [16 per cell]  2 N 1.18-1.28
N: 0.0000 0.0335 0.7500 [4 per cell]  2 C 1.33
N: 0.0000 0.3338 0.5500 [8 per cell]  2 C 1.28
N: 0.2049 0.1179 0.1104 [16 per cell]  1 C 1.18
N: 0.2241 0.3575 0.2500 [8 per cell]  1 C 1.17

No. 4
Here is an optimized crystal structure of Si7CN10 from Materials Project. Energies are from PBE.

Computed properties:
crystal system: monoclinic

Unit cell a=7.1075 b=6.9589 c=9.8864 alpha=90.00 beta=106.86 gamma=90.00
With the nearest neighbours (Å) after each atom.
Space group Pc (No. 7)
Unique sites:
Si: 0.0000 0.0164 0.0000 [2 per cell]  3 N 1.71-1.74, 1 C 1.87
Si: 0.2220 0.1056 0.2975 [2 per cell]  4 N 1.73-1.78
Si: 0.3488 0.4750 0.4239 [2 per cell]  4 N 1.69-1.78
Si: 0.4087 0.1176 0.6054 [2 per cell]  4 N 1.73-1.78
Si: 0.4929 0.4751 0.2279 [2 per cell]  3 N 1.63-1.80
Si: 0.5798 0.1320 0.9068 [2 per cell]  4 N 1.74-1.75
Si: 0.7653 0.1317 0.2153 [2 per cell]  4 N 1.64-1.81
C: 0.0661 0.2604 0.9489 [2 per cell]  1 N 1.16
N: 0.1262 0.4033 0.9164 [2 per cell]  1 C 1.16
N: 0.1941 0.0352 0.6461 [2 per cell]  3 Si 1.72-1.78
N: 0.3032 0.3354 0.2761 [2 per cell]  3 Si 1.71-1.83
N: 0.3939 0.0042 0.4448 [2 per cell]  3 Si 1.75
N: 0.4013 0.3662 0.5835 [2 per cell]  3 Si 1.69-1.77
N: 0.5051 0.3698 0.8753 [2 per cell]  3 Si 1.72-1.80
N: 0.6096 0.0544 0.7457 [2 per cell]  3 Si 1.73-1.78
N: 0.6754 0.3491 0.2075 [2 per cell]  2 Si 1.63-1.64
N: 0.7907 0.0713 0.0433 [2 per cell]  3 Si 1.71-1.81
N: 0.9977 0.1012 0.3443 [2 per cell]  3 Si 1.74-1.78

No. 5
Here is an optimized crystal structure of SmC6N9 from Materials Project. Energies are from PBE.

Computed properties:
crystal system: orthorhombic

Unit cell a=7.7554 b=11.8968 c=10.5927 alpha=90.00 beta=90.00 gamma=90.00
With the nearest neighbours (Å) after each atom.
Space group Cmcm (No. 63)
Unique sites:
Sm: 0.0000 0.2163 0.2500 [4 per cell]  6 N 2.47-2.48
C: 0.1452 0.0869 0.7500 [8 per cell]  2 N 1.18-1.30
C: 0.1461 0.3541 0.5540 [16 per cell]  2 N 1.18-1.30
N: 0.0000 0.0320 0.7500 [4 per cell]  2 C 1.30
N: 0.0000 0.3459 0.0054 [8 per cell]  2 C 1.30
N: 0.2163 0.1415 0.1008 [16 per cell]  1 C 1.18
N: 0.2198 0.3678 0.2500 [8 per cell]  1 C 1.18

No. 6
Here is an optimized crystal structure of SmThCN from Materials Project. Energies are from PBE.

Computed properties:
crystal system: trigonal

Unit cell a=3.7172 b=3.7172 c=18.0383 alpha=90.00 beta=90.00 gamma=120.00
With the nearest neighbours (Å) after each atom.
Space group R3m (No. 160, hexagonal axes)
Unique sites:
Sm: 0.0000 0.0000 0.0000 [3 per cell]  3 N 2.65, 3 C 2.66
Th: 0.0000 0.0000 0.5008 [3 per cell]  3 N 2.59, 3 C 2.59
C: 0.0000 0.0000 0.7539 [3 per cell]  3 Th 2.59, 3 Sm 2.66
N: 0.0000 0.0000 0.2474 [3 per cell]  3 Th 2.59, 3 Sm 2.65

No. 7
Here is an optimized crystal structure of SnC8N6 from Materials Project. Energies are from PBE.

Computed properties:
crystal system: trigonal

Unit cell a=13.8342 b=13.8342 c=5.1746 alpha=90.00 beta=90.00 gamma=120.00
With the nearest neighbours (Å) after each atom.
Space group P31m (No. 157)
Unique sites:
Sn: 0.0000 0.0000 0.0000 [1 per cell]  3 N 2.32
Sn: 0.3333 0.6667 0.4524 [2 per cell]  3 N 2.42
C: 0.0000 0.1967 0.5810 [3 per cell]  1 N 1.17
C: 0.0000 0.2820 0.4376 [3 per cell]  3 C 1.39-1.40
C: 0.0000 0.6189 0.8618 [3 per cell]  3 C 1.40-1.41
C: 0.0000 0.7127 0.9688 [3 per cell]  1 N 1.17
C: 0.1007 0.6228 0.8037 [6 per cell]  1 N 1.17
C: 0.1019 0.3752 0.3663 [6 per cell]  1 N 1.17
N: 0.0000 0.1241 0.6973 [3 per cell]  1 C 1.17
N: 0.0000 0.7908 0.0565 [3 per cell]  1 C 1.17
N: 0.1848 0.6248 0.7583 [6 per cell]  1 C 1.17
N: 0.1877 0.4523 0.3064 [6 per cell]  1 C 1.17

No. 8
Here is an optimized crystal structure of SnC2N2 from Materials Project. Energies are from PBE.

Computed properties:
crystal system: orthorhombic

Unit cell a=7.8378 b=14.4095 c=8.1768 alpha=90.00 beta=90.00 gamma=90.00
With the nearest neighbours (Å) after each atom.
Space group Pbca (No. 61)
Unique sites:
Sn: 0.2300 0.1195 0.0268 [8 per cell]  2 C 2.28-2.35, 1 N 2.35
C: 0.0464 0.5835 0.4126 [8 per cell]  1 N 1.18
C: 0.1430 0.2020 0.7935 [8 per cell]  1 N 1.17
N: 0.1526 0.2478 0.6755 [8 per cell]  1 C 1.17
N: 0.1756 0.5521 0.3652 [8 per cell]  1 C 1.18

No. 9
Here is an optimized crystal structure of SnC8N6 from Materials Project. Energies are from PBE.

Computed properties:
crystal system: orthorhombic

Unit cell a=8.4225 b=5.7273 c=11.4590 alpha=90.00 beta=90.00 gamma=90.00
With the nearest neighbours (Å) after each atom.
Space group Pmna (No. 53)
Unique sites:
Sn: 0.0000 0.0000 0.0000 [2 per cell]  6 N 2.61-2.64
C: 0.0000 0.4015 0.2607 [4 per cell]  1 N 1.17
C: 0.0000 0.4101 0.6609 [4 per cell]  3 C 1.40
C: 0.1435 0.3148 0.6212 [8 per cell]  1 N 1.17
N: 0.0000 0.2423 0.1963 [4 per cell]  1 C 1.17
N: 0.2368 0.2358 0.9129 [8 per cell]  1 C 1.17

No. 10
Here is an optimized crystal structure of SrC7N10 from Materials Project. Energies are from PBE.

Computed properties:
crystal system: monoclinic

Unit cell a=5.8647 b=5.6853 c=8.1666 alpha=90.00 beta=106.41 gamma=90.00
With the nearest neighbours (Å) after each atom.
Space group Pc (No. 7)
Unique sites:
Sr: 0.0000 0.1206 0.0000 [2 per cell]  11 N 2.58-2.83
C: 0.1504 0.3889 0.4011 [2 per cell]  4 N 1.40-1.56
C: 0.3360 0.3766 0.7138 [2 per cell]  4 N 1.45-1.47
C: 0.3971 0.0300 0.3480 [2 per cell]  4 N 1.41-1.51
C: 0.5228 0.3763 0.0139 [2 per cell]  4 N 1.45-1.49
C: 0.5794 0.0255 0.6559 [2 per cell]  4 N 1.41-1.53
C: 0.7023 0.3669 0.3171 [2 per cell]  4 N 1.45-1.48
C: 0.8802 0.3681 0.6373 [2 per cell]  3 N 1.37-1.52
N: 0.1191 0.4079 0.7684 [2 per cell]  3 C 1.47-1.56
N: 0.1956 0.1698 0.3379 [2 per cell]  2 C 1.40-1.41
N: 0.3227 0.4968 0.5537 [2 per cell]  3 C 1.46-1.50
N: 0.3584 0.1251 0.6947 [2 per cell]  3 C 1.45-1.53
N: 0.4810 0.1173 0.0031 [2 per cell]  3 C 1.46-1.49
N: 0.5362 0.4598 0.8494 [2 per cell]  3 C 1.45-1.46
N: 0.6148 0.1263 0.3075 [2 per cell]  3 C 1.46-1.51
N: 0.7433 0.4120 0.1494 [2 per cell]  3 C 1.46-1.50
N: 0.7886 0.1544 0.6653 [2 per cell]  2 C 1.37-1.41
N: 0.9216 0.4031 0.4518 [2 per cell]  3 C 1.45-1.61

No. 11
Here is an optimized crystal structure of Sr3C3N5 from Materials Project. Energies are from PBE.

Computed properties:
crystal system: triclinic

Unit cell a=5.9877 b=7.2952 c=7.7546 alpha=90.61 beta=93.54 gamma=101.77
With the nearest neighbours (Å) after each atom.
Space group P-1 (No. 2)
Unique sites:
Sr: 0.0814 0.0757 0.2193 [2 per cell]  4 N 2.57-2.75, 2 C 2.64-2.78
Sr: 0.3222 0.6714 0.0844 [2 per cell]  3 C 2.68-2.89, 6 N 2.70-2.82
Sr: 0.3428 0.7734 0.5781 [2 per cell]  6 N 2.56-2.79, 1 C 2.84
C: 0.0955 0.4591 0.7449 [2 per cell]  2 N 1.29-1.44
C: 0.2049 0.2555 0.6350 [2 per cell]  1 N 1.28
C: 0.3387 0.0182 0.9682 [2 per cell]  2 N 1.44-1.46
N: 0.0225 0.7219 0.3203 [2 per cell]  2 C 1.44-1.47
N: 0.0237 0.6004 0.8047 [2 per cell]  1 C 1.29
N: 0.2703 0.1240 0.5538 [2 per cell]  1 C 1.28
N: 0.3217 0.4349 0.7100 [2 per cell]  2 C 1.44-1.45
N: 0.4895 0.0461 0.1253 [2 per cell]  2 C 1.44-1.46

Number 1: VASP energy -6.63 eV/atom, magnetization 0.00 Bohr magnetons per cell. Number 2: VASP energy -6.35 eV/atom, magnetization 0.00 Bohr magnetons per cell. Number 3: VASP energy -7.97 eV/atom, magnetization 0.00 Bohr magnetons per cell. Number 4: VASP energy -8.02 eV/atom, magnetization 0.00 Bohr magnetons per cell. Number 5: VASP energy -8.44 eV/atom, magnetization 0.00 Bohr magnetons per cell. Number 6: VASP energy -8.28 eV/atom, magnetization 0.00 Bohr magnetons per cell. Number 7: VASP energy -8.08 eV/atom, magnetization 0.00 Bohr magnetons per cell. Number 8: VASP energy -7.32 eV/atom, magnetization 0.00 Bohr magnetons per cell. Number 9: VASP energy -8.06 eV/atom, magnetization 0.00 Bohr magnetons per cell. Number 10: VASP energy -8.00 eV/atom, magnetization 0.00 Bohr magnetons per cell. Number 11: VASP energy -7.16 eV/atom, magnetization 0.00 Bohr magnetons per cell.